1.
Material: La4In21Pd10
Method: DFT, PBE
State: optimized geometry

Results
- M_tot (μB/f.u.) = 0.0
- E_tot (eV per atom) = -4.233
- symmetry = No. 12
- calculated density (Mg/m³) = 8.18
- energy of formation from the pure elements (eV/f.u.) = -18.8

Geometry as extended XYZ:
```
35
Lattice="12.066 -2.298 0.000 12.066 2.298 0.000 -10.250 0.000 14.753" Properties=species:S:1:pos:R:3 pbc="T T T"
La -0.479 0.000 4.922
La -2.934 0.000 12.171
La 16.815 0.000 2.582
La 14.360 0.000 9.832
In -0.704 0.000 1.372
In -6.609 0.000 11.761
In -2.883 0.000 8.131
In 4.803 0.000 0.052
In 3.023 0.000 4.353
In 2.077 0.000 7.359
In 0.706 0.000 11.816
In 6.258 0.000 4.374
In 9.583 0.000 0.044
In 4.589 0.000 9.331
In 6.941 0.000 7.377
In 9.292 0.000 5.422
In 4.298 0.000 14.709
In 7.623 0.000 10.380
In 13.175 0.000 2.937
In 11.804 0.000 7.394
In 10.858 0.000 10.400
In 9.078 0.000 14.701
In 16.764 0.000 6.622
In 20.491 0.000 2.992
In 14.585 0.000 13.381
Pd -5.672 0.000 9.023
Pd 2.188 0.000 1.567
Pd -0.284 0.000 9.056
Pd 7.218 0.000 1.661
Pd 3.617 0.000 12.012
Pd 10.264 0.000 2.741
Pd 6.663 0.000 13.092
Pd 14.165 0.000 5.697
Pd 11.693 0.000 13.186
Pd 19.553 0.000 5.731
```

2.
Material: LaIn2Pd
Method: DFT, PBE
State: optimized geometry

Results
- E_tot (eV per atom) = -4.569
- symmetry = No. 63
- calculated density (Mg/m³) = 8.09
- energy of formation from the pure elements (eV/f.u.) = -2.7

Geometry as extended XYZ:
```
16
Lattice="4.706 0.000 0.000 0.000 10.872 0.000 0.000 0.000 7.619" Properties=species:S:1:pos:R:3 pbc="T T T"
La 0.000 0.821 1.905
La 0.000 10.051 5.714
La 2.353 4.615 5.714
La 2.353 6.257 1.905
In 0.000 3.924 0.388
In 0.000 3.924 3.422
In 0.000 6.949 4.197
In 0.000 6.949 7.231
In 2.353 1.512 4.197
In 2.353 1.512 7.231
In 2.353 9.360 0.388
In 2.353 9.360 3.422
Pd 0.000 2.254 5.714
Pd 0.000 8.618 1.905
Pd 2.353 3.182 1.905
Pd 2.353 7.690 5.714
```

3.
Material: LaInPd2
Method: DFT, PBE
State: optimized geometry

Results
- E_tot (eV per atom) = -5.313
- symmetry = No. 194
- calculated density (Mg/m³) = 8.59
- energy of formation from the pure elements (eV/f.u.) = -3.2

Geometry as extended XYZ:
```
8
Lattice="4.711 0.000 0.000 -2.355 4.079 0.000 0.000 0.000 9.390" Properties=species:S:1:pos:R:3 pbc="T T T"
La 0.000 2.720 2.348
La 2.355 1.360 7.043
In 0.000 0.000 0.000
In 0.000 0.000 4.695
Pd 0.000 2.720 5.427
Pd 0.000 2.720 8.659
Pd 2.355 1.360 0.732
Pd 2.355 1.360 3.963
```

4.
Material: LaInPd
Method: DFT, PBE
State: optimized geometry

Results
- M_tot (μB/f.u.) = 0.0
- E_tot (eV per atom) = -4.817
- symmetry = No. 189
- calculated density (Mg/m³) = 7.70
- energy of formation from the pure elements (eV/f.u.) = -1.6

Geometry as extended XYZ:
```
9
Lattice="8.159 0.000 0.000 -4.080 7.066 0.000 0.000 0.000 4.040" Properties=species:S:1:pos:R:3 pbc="T T T"
La -2.941 5.094 0.000
La 1.139 1.972 0.000
La 5.882 0.000 0.000
In -1.581 2.738 2.020
In 3.162 0.000 2.020
In 2.499 4.328 2.020
Pd 0.000 0.000 2.020
Pd 0.000 4.711 0.000
Pd 4.080 2.355 0.000
```

5.
Material: LaInPt4
Method: DFT, PBE
State: optimized geometry

Results
- E_tot (eV per atom) = -6.155
- symmetry = No. 216
- calculated density (Mg/m³) = 14.72
- energy of formation from the pure elements (eV/f.u.) = -5.0

Geometry as extended XYZ:
```
6
Lattice="0.000 3.879 3.879 3.879 0.000 3.879 3.879 3.879 0.000" Properties=species:S:1:pos:R:3 pbc="T T T"
La 0.000 0.000 0.000
In 5.818 5.818 5.818
Pt 2.914 2.914 2.914
Pt 4.843 4.843 2.914
Pt 4.843 2.914 4.843
Pt 2.914 4.843 4.843
```

6.
Material: LaIn2Rh
Method: DFT, PBE
State: optimized geometry

Results
- E_tot (eV per atom) = -5.102
- symmetry = No. 63
- calculated density (Mg/m³) = 8.26
- energy of formation from the pure elements (eV/f.u.) = -2.6

Geometry as extended XYZ:
```
16
Lattice="4.551 0.000 0.000 0.000 10.247 0.000 0.000 0.000 8.134" Properties=species:S:1:pos:R:3 pbc="T T T"
La 0.000 0.638 2.033
La 0.000 9.609 6.100
La 2.275 4.485 6.100
La 2.275 5.762 2.033
In 0.000 3.600 0.406
In 0.000 3.600 3.661
In 0.000 6.647 4.473
In 0.000 6.647 7.727
In 2.275 1.523 4.473
In 2.275 1.523 7.727
In 2.275 8.724 0.406
In 2.275 8.724 3.661
Rh 0.000 2.125 6.100
Rh 0.000 8.122 2.033
Rh 2.275 2.998 2.033
Rh 2.275 7.249 6.100
```

- energy of formation from the pure elements of number 3 (LaInPd2)?
  -3.2 eV/f.u.

- Which formula does entry 1 have?
  La4In21Pd10

- The lowest calculated density belongs to which entry?
  LaInPd